1.
A plane-wave DFT calculation with r2SCAN was carried out for a relaxed K5Pr4Si4O16F crystal.

Computed properties:
**Final energy**: -376.573 eV for the cell shown
**M_tot**: 0.00 μB per formula unit
**ΔH_f (0 K)**: -3.17 eV/atom

Structure (POSCAR):
```
K5Pr4Si4O16F
1.0
-6.197 6.197 2.762
6.197 -6.197 2.762
6.197 6.197 -2.762
O K Pr Si F
16 5 4 4 1
Direct
0.857 0.830 0.573 O
0.170 0.743 0.027 O
0.452 0.281 0.241 O
0.888 0.381 0.260 O
0.188 0.436 0.146 O
0.619 0.880 0.507 O
0.373 0.112 0.493 O
0.290 0.042 0.854 O
0.120 0.627 0.740 O
0.564 0.710 0.752 O
0.041 0.211 0.759 O
0.717 0.143 0.973 O
0.257 0.283 0.427 O
0.789 0.548 0.830 O
0.958 0.812 0.248 O
0.719 0.959 0.170 O
0.408 0.898 0.305 K
0.000 0.000 0.000 K
0.593 0.103 0.695 K
0.102 0.407 0.510 K
0.897 0.592 0.490 K
0.333 0.635 0.933 Pr
0.365 0.298 0.698 Pr
0.600 0.667 0.302 Pr
0.702 0.400 0.067 Pr
0.886 0.236 0.141 Si
0.255 0.114 0.350 Si
0.764 0.905 0.650 Si
0.095 0.745 0.859 Si
0.500 0.500 0.000 F
```

=====

2.
A plane-wave DFT calculation with r2SCAN was carried out for a relaxed K3UO2F5 crystal.

Computed properties:
**Final energy**: -648.154 eV for the cell shown
**M_tot**: 0.00 μB per formula unit
**ΔH_f (0 K)**: -3.32 eV/atom

Structure (POSCAR):
```
K3UO2F5
1.0
-4.558 4.557 9.017
4.558 -4.557 9.017
4.557 4.558 -9.017
F O K U
20 8 12 4
Direct
0.215 0.040 0.715 F
0.790 0.574 0.325 F
0.110 0.984 0.836 F
0.644 0.644 0.000 F
0.356 0.356 0.000 F
0.734 0.398 0.374 F
0.394 0.894 0.500 F
0.016 0.852 0.126 F
0.535 0.210 0.785 F
0.726 0.890 0.874 F
0.500 0.785 0.825 F
0.640 0.266 0.664 F
0.250 0.465 0.675 F
0.960 0.676 0.175 F
0.024 0.360 0.626 F
0.602 0.976 0.336 F
0.324 0.500 0.285 F
0.426 0.750 0.215 F
0.106 0.606 0.500 F
0.148 0.274 0.164 F
0.932 0.283 0.258 O
0.425 0.182 0.150 O
0.818 0.967 0.242 O
0.725 0.575 0.758 O
0.033 0.275 0.850 O
0.025 0.675 0.742 O
0.717 0.975 0.650 O
0.325 0.068 0.350 O
0.250 0.750 0.500 K
0.345 0.824 0.948 K
0.876 0.397 0.052 K
0.147 0.595 0.021 K
0.603 0.655 0.479 K
0.574 0.126 0.979 K
0.000 0.000 0.000 K
0.500 0.500 0.000 K
0.405 0.426 0.552 K
0.176 0.124 0.521 K
0.750 0.250 0.500 K
0.874 0.853 0.448 K
0.771 0.771 0.000 U
0.229 0.229 0.000 U
0.521 0.021 0.500 U
0.979 0.479 0.500 U
```

=====

3.
A plane-wave DFT calculation with r2SCAN was carried out for a relaxed K3OsF6 crystal.

Computed properties:
**Final energy**: -113.503 eV for the cell shown
**M_tot**: 1.00 μB per formula unit
**ΔH_f (0 K)**: -2.37 eV/atom

Structure (POSCAR):
```
K3OsF6
1.0
7.359 2.999 2.218
-1.371 -5.630 -3.203
-1.657 2.120 -6.031
F K Os
6 3 1
Direct
0.220 0.294 0.221 F
0.076 0.296 0.781 F
0.780 0.706 0.779 F
0.779 0.000 0.074 F
0.221 0.000 0.926 F
0.924 0.704 0.219 F
0.500 0.500 0.000 K
0.000 0.000 0.500 K
0.000 0.500 0.000 K
0.000 0.000 0.000 Os
```

=====

4.
A plane-wave DFT calculation with r2SCAN was carried out for a relaxed K2PdF6 crystal.

Computed properties:
**Final energy**: -74.525 eV for the cell shown
**M_tot**: 0.00 μB per formula unit
**ΔH_f (0 K)**: -2.31 eV/atom

Structure (POSCAR):
```
K2PdF6
1.0
-3.012 3.924 -2.815
1.485 -4.846 -2.590
-3.904 -1.965 1.438
K F Pd
2 6 1
Direct
0.333 0.667 0.717 K
0.667 0.333 0.283 K
0.836 0.673 0.773 F
0.164 0.327 0.227 F
0.673 0.836 0.227 F
0.164 0.836 0.227 F
0.836 0.164 0.773 F
0.327 0.164 0.773 F
0.000 0.000 0.000 Pd
```

=====

5.
A plane-wave DFT calculation with r2SCAN was carried out for a relaxed KPrF4 crystal.

Computed properties:
**Final energy**: -287.178 eV for the cell shown
**M_tot**: 0.00 μB per formula unit
**ΔH_f (0 K)**: -3.98 eV/atom

Structure (POSCAR):
```
KPrF4
1.0
-0.444 3.211 1.933
2.239 -2.774 5.122
14.420 4.365 -3.938
F K Pr
16 4 4
Direct
0.750 0.995 0.559 F
0.250 0.138 0.964 F
0.750 0.399 0.635 F
0.750 0.862 0.036 F
0.750 0.899 0.865 F
0.750 0.412 0.195 F
0.250 0.088 0.695 F
0.250 0.101 0.135 F
0.250 0.588 0.805 F
0.750 0.912 0.305 F
0.750 0.362 0.464 F
0.750 0.495 0.941 F
0.250 0.505 0.059 F
0.250 0.601 0.365 F
0.250 0.638 0.536 F
0.250 0.005 0.441 F
0.750 0.279 0.797 K
0.750 0.779 0.703 K
0.250 0.221 0.297 K
0.250 0.721 0.203 K
0.750 0.248 0.061 Pr
0.250 0.252 0.561 Pr
0.750 0.748 0.439 Pr
0.250 0.752 0.939 Pr
```

=====

6.
A plane-wave DFT calculation with r2SCAN was carried out for a relaxed K2PtF6 crystal.

Computed properties:
**Final energy**: -103.365 eV for the cell shown
**M_tot**: 0.00 μB per formula unit
**ΔH_f (0 K)**: -2.34 eV/atom

Structure (POSCAR):
```
K2PtF6
1.0
-5.661 -0.703 -0.798
3.343 -4.562 1.092
-0.700 0.559 4.477
F K Pt
6 2 1
Direct
0.669 0.834 0.229 F
0.166 0.331 0.229 F
0.331 0.166 0.771 F
0.834 0.669 0.771 F
0.166 0.834 0.229 F
0.834 0.166 0.771 F
0.333 0.667 0.715 K
0.667 0.333 0.285 K
0.000 0.000 0.000 Pt
```

=====

7.
A plane-wave DFT calculation with r2SCAN was carried out for a relaxed K2RbTiF6 crystal.

Computed properties:
**Final energy**: -89.757 eV for the cell shown
**M_tot**: 1.00 μB per formula unit
**ΔH_f (0 K)**: -3.21 eV/atom

Structure (POSCAR):
```
K2RbTiF6
1.0
-0.471 -4.580 4.468
-5.305 -0.437 3.675
-4.138 -4.828 -0.855
F Ti K Rb
6 1 2 1
Direct
0.782 0.218 0.218 F
0.218 0.218 0.782 F
0.782 0.782 0.218 F
0.786 0.214 0.786 F
0.218 0.782 0.782 F
0.214 0.786 0.214 F
0.000 0.000 0.000 Ti
0.750 0.750 0.750 K
0.250 0.250 0.250 K
0.500 0.500 0.500 Rb
```

=====

8.
A plane-wave DFT calculation with r2SCAN was carried out for a relaxed KRb2TlF6 crystal.

Computed properties:
**Final energy**: -131.956 eV for the cell shown
**M_tot**: 0.00 μB per formula unit
**ΔH_f (0 K)**: -2.61 eV/atom

Structure (POSCAR):
```
KRb2TlF6
1.0
0.000 4.640 4.640
4.640 0.000 4.640
4.640 4.640 0.000
K F Rb Tl
1 6 2 1
Direct
0.500 0.500 0.500 K
0.233 0.767 0.233 F
0.767 0.233 0.767 F
0.233 0.233 0.767 F
0.233 0.767 0.767 F
0.767 0.767 0.233 F
0.767 0.233 0.233 F
0.250 0.250 0.250 Rb
0.750 0.750 0.750 Rb
0.000 0.000 0.000 Tl
```

=====

9.
A plane-wave DFT calculation with r2SCAN was carried out for a relaxed KRb2VF6 crystal.

Computed properties:
**Final energy**: -98.118 eV for the cell shown
**M_tot**: 2.00 μB per formula unit
**ΔH_f (0 K)**: -3.14 eV/atom

Structure (POSCAR):
```
KRb2VF6
1.0
0.000 4.427 4.427
4.427 0.000 4.427
4.427 4.427 0.000
F Rb V K
6 2 1 1
Direct
0.219 0.781 0.781 F
0.781 0.219 0.219 F
0.781 0.781 0.219 F
0.219 0.219 0.781 F
0.781 0.219 0.781 F
0.219 0.781 0.219 F
0.250 0.250 0.250 Rb
0.750 0.750 0.750 Rb
0.000 0.000 0.000 V
0.500 0.500 0.500 K
```

=====

10.
A plane-wave DFT calculation with r2SCAN was carried out for a relaxed K2RhF6 crystal.

Computed properties:
**Final energy**: -76.789 eV for the cell shown
**M_tot**: 1.00 μB per formula unit
**ΔH_f (0 K)**: -2.43 eV/atom

Structure (POSCAR):
```
K2RhF6
1.0
5.695 0.000 0.000
-2.848 4.932 0.000
0.000 0.000 4.607
F Rh K
6 1 2
Direct
0.163 0.837 0.229 F
0.326 0.163 0.771 F
0.837 0.674 0.771 F
0.674 0.837 0.229 F
0.837 0.163 0.771 F
0.163 0.326 0.229 F
0.000 0.000 0.000 Rh
0.667 0.333 0.288 K
0.333 0.667 0.712 K
```

=====

11.
A plane-wave DFT calculation with r2SCAN was carried out for a relaxed K3RuF6 crystal.

Computed properties:
**Final energy**: -87.502 eV for the cell shown
**M_tot**: 1.00 μB per formula unit
**ΔH_f (0 K)**: -2.53 eV/atom

Structure (POSCAR):
```
K3RuF6
1.0
2.180 -0.727 -6.189
2.491 7.063 3.202
3.031 -5.846 0.178
F K Ru
6 3 1
Direct
0.063 0.776 0.000 F
0.778 0.779 0.714 F
0.221 0.933 0.713 F
0.222 0.221 0.286 F
0.937 0.224 0.000 F
0.779 0.067 0.287 F
0.000 0.500 0.500 K
0.000 0.000 0.500 K
0.500 0.000 0.000 K
0.000 0.000 0.000 Ru
```

=====

12.
A plane-wave DFT calculation with r2SCAN was carried out for a relaxed K3RuF6 crystal.

Computed properties:
**Final energy**: -87.850 eV for the cell shown
**M_tot**: 1.00 μB per formula unit
**ΔH_f (0 K)**: -2.56 eV/atom

Structure (POSCAR):
```
K3RuF6
1.0
0.000 4.410 4.478
4.410 0.000 4.478
4.410 4.410 0.000
F K Ru
6 3 1
Direct
0.224 0.776 0.224 F
0.776 0.224 0.776 F
0.776 0.224 0.224 F
0.773 0.773 0.227 F
0.227 0.227 0.773 F
0.224 0.776 0.776 F
0.250 0.250 0.250 K
0.750 0.750 0.750 K
0.500 0.500 0.500 K
0.000 0.000 0.000 Ru
```